Record 1
{
  "formula": "RbDyMo2O8",
  "functional": "PBE+U",
  "state": "optimized geometry",
  "sg": "Pbcn",
  "ef_ev_per_atom": -2.55,
  "energy_mp2020_ev_per_atom": -8.119,
  "cell": [[-3.705, -3.565, 0.056], [4.393, -4.646, -5.098], [8.265, -8.357, 14.738]],
  "species": ["Rb", "Rb", "Rb", "Rb", "Dy", "Dy", "Dy", "Dy", "Mo", "Mo", "Mo", "Mo", "Mo", "Mo", "Mo", "Mo", "O", "O", "O", "O", "O", "O", "O", "O", "O", "O", "O", "O", "O", "O", "O", "O", "O", "O", "O", "O", "O", "O", "O", "O", "O", "O", "O", "O", "O", "O", "O", "O"],
  "fractional_positions": [[0.000, 0.750, 0.770], [0.000, 0.250, 0.230], [0.500, 0.250, 0.730], [0.500, 0.750, 0.270], [0.000, 0.750, 0.006], [0.000, 0.250, 0.994], [0.500, 0.250, 0.494], [0.500, 0.750, 0.506], [0.023, 0.516, 0.401], [0.977, 0.484, 0.599], [0.477, 0.016, 0.099], [0.977, 0.984, 0.401], [0.523, 0.984, 0.901], [0.023, 0.016, 0.599], [0.523, 0.484, 0.099], [0.477, 0.516, 0.901], [0.098, 0.974, 0.314], [0.902, 0.026, 0.686], [0.402, 0.474, 0.186], [0.902, 0.526, 0.314], [0.598, 0.526, 0.814], [0.098, 0.474, 0.686], [0.598, 0.026, 0.186], [0.402, 0.974, 0.814], [0.268, 0.839, 0.097], [0.732, 0.161, 0.903], [0.232, 0.339, 0.403], [0.732, 0.661, 0.097], [0.768, 0.661, 0.597], [0.268, 0.339, 0.903], [0.768, 0.161, 0.403], [0.232, 0.839, 0.597], [0.247, 0.505, 0.035], [0.753, 0.495, 0.965], [0.253, 0.005, 0.465], [0.753, 0.995, 0.035], [0.747, 0.995, 0.535], [0.247, 0.005, 0.965], [0.747, 0.495, 0.465], [0.253, 0.505, 0.535], [0.242, 0.689, 0.410], [0.758, 0.311, 0.590], [0.258, 0.189, 0.090], [0.758, 0.811, 0.410], [0.742, 0.811, 0.910], [0.242, 0.189, 0.590], [0.742, 0.311, 0.090], [0.258, 0.689, 0.910]]
}

---

Record 2
{
  "formula": "VSiP2O9",
  "functional": "PBE+U",
  "state": "optimized geometry",
  "sg": "P4/ncc",
  "ef_ev_per_atom": -2.75,
  "energy_mp2020_ev_per_atom": -8.122,
  "cell": [[-6.132, -2.448, -6.046], [-3.078, -6.231, 5.644], [-5.357, 5.537, 3.191]],
  "species": ["V", "V", "V", "V", "Si", "Si", "Si", "Si", "P", "P", "P", "P", "P", "P", "P", "P", "O", "O", "O", "O", "O", "O", "O", "O", "O", "O", "O", "O", "O", "O", "O", "O", "O", "O", "O", "O", "O", "O", "O", "O", "O", "O", "O", "O", "O", "O", "O", "O", "O", "O", "O", "O"],
  "fractional_positions": [[0.500, 0.000, 0.841], [0.000, 0.500, 0.659], [0.000, 0.500, 0.159], [0.500, 0.000, 0.341], [0.500, 0.500, 0.500], [0.000, 0.000, 0.500], [0.000, 0.000, 0.000], [0.500, 0.500, 0.000], [0.178, 0.178, 0.750], [0.678, 0.322, 0.750], [0.322, 0.678, 0.750], [0.822, 0.822, 0.750], [0.322, 0.322, 0.250], [0.822, 0.178, 0.250], [0.178, 0.822, 0.250], [0.678, 0.678, 0.250], [0.634, 0.433, 0.891], [0.366, 0.567, 0.891], [0.067, 0.134, 0.891], [0.933, 0.866, 0.891], [0.433, 0.634, 0.609], [0.134, 0.067, 0.609], [0.866, 0.933, 0.609], [0.567, 0.366, 0.609], [0.866, 0.067, 0.109], [0.134, 0.933, 0.109], [0.433, 0.366, 0.109], [0.567, 0.634, 0.109], [0.067, 0.866, 0.391], [0.366, 0.433, 0.391], [0.634, 0.567, 0.391], [0.933, 0.134, 0.391], [0.500, 0.000, 0.537], [0.000, 0.500, 0.963], [0.000, 0.500, 0.463], [0.500, 0.000, 0.037], [0.662, 0.150, 0.297], [0.650, 0.838, 0.297], [0.350, 0.162, 0.297], [0.338, 0.850, 0.297], [0.838, 0.650, 0.203], [0.162, 0.350, 0.203], [0.150, 0.662, 0.203], [0.850, 0.338, 0.203], [0.838, 0.350, 0.703], [0.850, 0.662, 0.703], [0.150, 0.338, 0.703], [0.162, 0.650, 0.703], [0.662, 0.850, 0.797], [0.338, 0.150, 0.797], [0.350, 0.838, 0.797], [0.650, 0.162, 0.797]]
}